1.
# Y2ClO4 PBE relaxed
data_Y2ClO4
_cell_length_a 15.6180
_cell_length_b 6.1649
_cell_length_c 14.4408
_cell_angle_alpha 90.00
_cell_angle_beta 90.00
_cell_angle_gamma 90.00
_space_group_name_H-M_alt 'P 1'
_space_group_IT_number 1
loop_
_space_group_symop_operation_xyz
'x,y,z'
loop_
_atom_site_label
_atom_site_type_symbol
_atom_site_fract_x
_atom_site_fract_y
_atom_site_fract_z
Y1 Y 0.0400 0.0000 0.1427
Y2 Y 0.0555 0.0000 0.3612
Y3 Y 0.4445 0.0000 0.3612
Y4 Y 0.4600 0.0000 0.1427
Y5 Y 0.5400 0.0000 0.8573
Y6 Y 0.5555 0.0000 0.6388
Y7 Y 0.9445 0.0000 0.6388
Y8 Y 0.9600 0.0000 0.8573
Cl1 Cl 0.1078 0.0000 0.9684
Cl2 Cl 0.3922 0.0000 0.9684
Cl3 Cl 0.6078 0.0000 0.0316
Cl4 Cl 0.8922 0.0000 0.0316
O1 O 0.0366 0.0000 0.7407
O2 O 0.0447 0.0000 0.5193
O3 O 0.1339 0.0000 0.2423
O4 O 0.2099 0.0000 0.4518
O5 O 0.2901 0.0000 0.4518
O6 O 0.3661 0.0000 0.2423
O7 O 0.4553 0.0000 0.5193
O8 O 0.4634 0.0000 0.7407
O9 O 0.5366 0.0000 0.2593
O10 O 0.5447 0.0000 0.4807
O11 O 0.6339 0.0000 0.7577
O12 O 0.7099 0.0000 0.5482
O13 O 0.7901 0.0000 0.5482
O14 O 0.8661 0.0000 0.7577
O15 O 0.9553 0.0000 0.4807
O16 O 0.9634 0.0000 0.2593
# - energy (eV/atom) = -6.68
# - formation energy (eV per atom) = -1.834

---

2.
# La2MgS4 PBE relaxed
data_La2MgS4
_cell_length_a 8.3827
_cell_length_b 7.1652
_cell_length_c 11.9087
_cell_angle_alpha 90.00
_cell_angle_beta 90.00
_cell_angle_gamma 90.00
_space_group_name_H-M_alt 'P 1'
_space_group_IT_number 1
loop_
_space_group_symop_operation_xyz
'x,y,z'
loop_
_atom_site_label
_atom_site_type_symbol
_atom_site_fract_x
_atom_site_fract_y
_atom_site_fract_z
La1 La 0.0230 0.2500 0.1853
La2 La 0.0949 0.7500 0.4588
La3 La 0.4051 0.2500 0.9588
La4 La 0.4770 0.7500 0.6853
La5 La 0.5230 0.2500 0.3147
La6 La 0.5949 0.7500 0.0412
La7 La 0.9051 0.2500 0.5412
La8 La 0.9770 0.7500 0.8147
Mg1 Mg 0.1962 0.7500 0.0817
Mg2 Mg 0.3038 0.2500 0.5817
Mg3 Mg 0.6962 0.7500 0.4183
Mg4 Mg 0.8038 0.2500 0.9183
S1 S 0.0801 0.2500 0.9425
S2 S 0.1494 0.5084 0.6524
S3 S 0.1494 0.9916 0.6524
S4 S 0.1963 0.2500 0.3931
S5 S 0.3037 0.7500 0.8931
S6 S 0.3506 0.0084 0.1524
S7 S 0.3506 0.4916 0.1524
S8 S 0.4199 0.7500 0.4425
S9 S 0.5801 0.2500 0.5575
S10 S 0.6494 0.5084 0.8476
S11 S 0.6494 0.9916 0.8476
S12 S 0.6963 0.2500 0.1069
S13 S 0.8037 0.7500 0.6069
S14 S 0.8506 0.0084 0.3476
S15 S 0.8506 0.4916 0.3476
S16 S 0.9199 0.7500 0.0575
# - energy (eV/atom) = -5.80
# - relative energy among the computed polymorphs (meV per atom) = 119.3
# - formation energy (eV per atom) = -2.090

---

3.
# Zr3Mn4Si6 PBE relaxed
data_Zr3Mn4Si6
_cell_length_a 17.1342
_cell_length_b 17.1342
_cell_length_c 5.0915
_cell_angle_alpha 90.00
_cell_angle_beta 90.00
_cell_angle_gamma 90.00
_space_group_name_H-M_alt 'P 1'
_space_group_IT_number 1
loop_
_space_group_symop_operation_xyz
'x,y,z'
loop_
_atom_site_label
_atom_site_type_symbol
_atom_site_fract_x
_atom_site_fract_y
_atom_site_fract_z
Zr1 Zr 0.0260 0.2902 0.0000
Zr2 Zr 0.1019 0.2042 0.5000
Zr3 Zr 0.2011 0.7825 0.5000
Zr4 Zr 0.2042 0.8981 0.0000
Zr5 Zr 0.2098 0.4740 0.5000
Zr6 Zr 0.2175 0.2011 0.0000
Zr7 Zr 0.2825 0.7011 0.0000
Zr8 Zr 0.2902 0.9740 0.5000
Zr9 Zr 0.2958 0.3981 0.0000
Zr10 Zr 0.2989 0.2825 0.5000
Zr11 Zr 0.3981 0.7042 0.5000
Zr12 Zr 0.4740 0.7902 0.0000
Zr13 Zr 0.5260 0.2098 0.0000
Zr14 Zr 0.6019 0.2958 0.5000
Zr15 Zr 0.7011 0.7175 0.5000
Zr16 Zr 0.7042 0.6019 0.0000
Zr17 Zr 0.7098 0.0260 0.5000
Zr18 Zr 0.7175 0.2989 0.0000
Zr19 Zr 0.7825 0.7989 0.0000
Zr20 Zr 0.7902 0.5260 0.5000
Zr21 Zr 0.7958 0.1019 0.0000
Zr22 Zr 0.7989 0.2175 0.5000
Zr23 Zr 0.8981 0.7958 0.5000
Zr24 Zr 0.9740 0.7098 0.0000
Mn1 Mn 0.0441 0.3850 0.5000
Mn2 Mn 0.0519 0.8460 0.2511
Mn3 Mn 0.0519 0.8460 0.7489
Mn4 Mn 0.1150 0.4559 0.0000
Mn5 Mn 0.1262 0.6262 0.2500
Mn6 Mn 0.1262 0.6262 0.7500
Mn7 Mn 0.1540 0.0519 0.2489
Mn8 Mn 0.1540 0.0519 0.7511
Mn9 Mn 0.3460 0.5519 0.2489
Mn10 Mn 0.3460 0.5519 0.7511
Mn11 Mn 0.3738 0.1262 0.2500
Mn12 Mn 0.3738 0.1262 0.7500
Mn13 Mn 0.3850 0.9559 0.0000
Mn14 Mn 0.4481 0.3460 0.2511
Mn15 Mn 0.4481 0.3460 0.7489
Mn16 Mn 0.4559 0.8850 0.5000
Mn17 Mn 0.5441 0.1150 0.5000
Mn18 Mn 0.5519 0.6540 0.2511
Mn19 Mn 0.5519 0.6540 0.7489
Mn20 Mn 0.6150 0.0441 0.0000
Mn21 Mn 0.6262 0.8738 0.2500
Mn22 Mn 0.6262 0.8738 0.7500
Mn23 Mn 0.6540 0.4481 0.2489
Mn24 Mn 0.6540 0.4481 0.7511
Mn25 Mn 0.8460 0.9481 0.2489
Mn26 Mn 0.8460 0.9481 0.7511
Mn27 Mn 0.8738 0.3738 0.2500
Mn28 Mn 0.8738 0.3738 0.7500
Mn29 Mn 0.8850 0.5441 0.0000
Mn30 Mn 0.9481 0.1540 0.2511
Mn31 Mn 0.9481 0.1540 0.7489
Mn32 Mn 0.9559 0.6150 0.5000
Si1 Si 0.0236 0.5649 0.0000
Si2 Si 0.0310 0.0619 0.5000
Si3 Si 0.0479 0.7248 0.5000
Si4 Si 0.0619 0.9690 0.0000
Si5 Si 0.0649 0.5236 0.5000
Si6 Si 0.0679 0.1362 0.0000
Si7 Si 0.1300 0.7522 0.0000
Si8 Si 0.1362 0.9321 0.5000
Si9 Si 0.1617 0.3383 0.2500
Si10 Si 0.1617 0.3383 0.7500
Si11 Si 0.2248 0.5479 0.0000
Si12 Si 0.2478 0.1300 0.5000
Si13 Si 0.2522 0.6300 0.5000
Si14 Si 0.2752 0.0479 0.0000
Si15 Si 0.3383 0.8383 0.2500
Si16 Si 0.3383 0.8383 0.7500
Si17 Si 0.3638 0.4321 0.5000
Si18 Si 0.3700 0.2522 0.0000
Si19 Si 0.4321 0.6362 0.0000
Si20 Si 0.4351 0.0236 0.5000
Si21 Si 0.4381 0.4690 0.0000
Si22 Si 0.4521 0.2248 0.5000
Si23 Si 0.4690 0.5619 0.5000
Si24 Si 0.4764 0.0649 0.0000
Si25 Si 0.5236 0.9351 0.0000
Si26 Si 0.5310 0.4381 0.5000
Si27 Si 0.5479 0.7752 0.5000
Si28 Si 0.5619 0.5310 0.0000
Si29 Si 0.5649 0.9764 0.5000
Si30 Si 0.5679 0.3638 0.0000
Si31 Si 0.6300 0.7478 0.0000
Si32 Si 0.6362 0.5679 0.5000
Si33 Si 0.6617 0.1617 0.2500
Si34 Si 0.6617 0.1617 0.7500
Si35 Si 0.7248 0.9521 0.0000
Si36 Si 0.7478 0.3700 0.5000
Si37 Si 0.7522 0.8700 0.5000
Si38 Si 0.7752 0.4521 0.0000
Si39 Si 0.8383 0.6617 0.2500
Si40 Si 0.8383 0.6617 0.7500
Si41 Si 0.8638 0.0679 0.5000
Si42 Si 0.8700 0.2478 0.0000
Si43 Si 0.9321 0.8638 0.0000
Si44 Si 0.9351 0.4764 0.5000
Si45 Si 0.9381 0.0310 0.0000
Si46 Si 0.9521 0.2752 0.5000
Si47 Si 0.9690 0.9381 0.5000
Si48 Si 0.9764 0.4351 0.0000
# - energy (eV/atom) = -7.96
# - formation energy (eV per atom) = -0.628

---

4.
# Te7RuI6 PBE relaxed
data_Te7RuI6
_cell_length_a 10.2666
_cell_length_b 10.4655
_cell_length_c 11.7275
_cell_angle_alpha 102.30
_cell_angle_beta 103.59
_cell_angle_gamma 110.87
_space_group_name_H-M_alt 'P 1'
_space_group_IT_number 1
loop_
_space_group_symop_operation_xyz
'x,y,z'
loop_
_atom_site_label
_atom_site_type_symbol
_atom_site_fract_x
_atom_site_fract_y
_atom_site_fract_z
Te1 Te 0.0198 0.3288 0.0245
Te2 Te 0.0746 0.9852 0.2919
Te3 Te 0.0986 0.7509 0.7112
Te4 Te 0.1823 0.2727 0.8695
Te5 Te 0.1978 0.0682 0.0203
Te6 Te 0.2466 0.8807 0.1732
Te7 Te 0.2837 0.3786 0.3277
Te8 Te 0.7163 0.6214 0.6723
Te9 Te 0.7534 0.1193 0.8268
Te10 Te 0.8022 0.9318 0.9797
Te11 Te 0.8177 0.7273 0.1305
Te12 Te 0.9014 0.2491 0.2888
Te13 Te 0.9254 0.0148 0.7081
Te14 Te 0.9802 0.6712 0.9755
Ru1 Ru 0.0467 0.1610 0.1607
Ru2 Ru 0.9533 0.8390 0.8393
I1 I 0.1153 0.5801 0.3323
I2 I 0.1790 0.3288 0.5436
I3 I 0.2887 0.0212 0.6854
I4 I 0.3308 0.7446 0.9081
I5 I 0.4148 0.5245 0.1530
I6 I 0.4764 0.2291 0.3848
I7 I 0.5236 0.7709 0.6152
I8 I 0.5852 0.4755 0.8470
I9 I 0.6692 0.2554 0.0919
I10 I 0.7113 0.9788 0.3146
I11 I 0.8210 0.6712 0.4564
I12 I 0.8847 0.4199 0.6677
# - energy (eV/atom) = -3.04
# - formation energy (eV per atom) = -0.315

---

5.
# ErB4Rh4 PBE relaxed
data_ErB4Rh4
_cell_length_a 11.8161
_cell_length_b 11.8161
_cell_length_c 7.5302
_cell_angle_alpha 90.00
_cell_angle_beta 90.00
_cell_angle_gamma 142.80
_space_group_name_H-M_alt 'P 1'
_space_group_IT_number 1
loop_
_space_group_symop_operation_xyz
'x,y,z'
loop_
_atom_site_label
_atom_site_type_symbol
_atom_site_fract_x
_atom_site_fract_y
_atom_site_fract_z
Er1 Er 0.0832 0.9168 0.7500
Er2 Er 0.2500 0.7500 0.2500
Er3 Er 0.4168 0.5832 0.7500
Er4 Er 0.5832 0.4168 0.2500
Er5 Er 0.7500 0.2500 0.7500
Er6 Er 0.9168 0.0832 0.2500
B1 B 0.0046 0.7253 0.4233
B2 B 0.0527 0.6619 0.5880
B3 B 0.1415 0.1994 0.8913
B4 B 0.1619 0.5527 0.9120
B5 B 0.1994 0.1415 0.3913
B6 B 0.2253 0.5046 0.0767
B7 B 0.2747 0.9954 0.0767
B8 B 0.3006 0.3585 0.3913
B9 B 0.3381 0.9473 0.9120
B10 B 0.3585 0.3006 0.8913
B11 B 0.4473 0.8381 0.5880
B12 B 0.4954 0.7747 0.4233
B13 B 0.5046 0.2253 0.5767
B14 B 0.5527 0.1619 0.4120
B15 B 0.6415 0.6994 0.1087
B16 B 0.6619 0.0527 0.0880
B17 B 0.6994 0.6415 0.6087
B18 B 0.7253 0.0046 0.9233
B19 B 0.7747 0.4954 0.9233
B20 B 0.8006 0.8585 0.6087
B21 B 0.8381 0.4473 0.0880
B22 B 0.8585 0.8006 0.1087
B23 B 0.9473 0.3381 0.4120
B24 B 0.9954 0.2747 0.5767
Rh1 Rh 0.0286 0.2787 0.8629
Rh2 Rh 0.0567 0.6405 0.8770
Rh3 Rh 0.0740 0.1561 0.5967
Rh4 Rh 0.1405 0.5567 0.6230
Rh5 Rh 0.1561 0.0740 0.0967
Rh6 Rh 0.2213 0.4714 0.3629
Rh7 Rh 0.2787 0.0286 0.3629
Rh8 Rh 0.3439 0.4260 0.0967
Rh9 Rh 0.3595 0.9433 0.6230
Rh10 Rh 0.4260 0.3439 0.5967
Rh11 Rh 0.4433 0.8595 0.8770
Rh12 Rh 0.4714 0.2213 0.8629
Rh13 Rh 0.5286 0.7787 0.1371
Rh14 Rh 0.5567 0.1405 0.1230
Rh15 Rh 0.5740 0.6561 0.4033
Rh16 Rh 0.6405 0.0567 0.3770
Rh17 Rh 0.6561 0.5740 0.9033
Rh18 Rh 0.7213 0.9714 0.6371
Rh19 Rh 0.7787 0.5286 0.6371
Rh20 Rh 0.8439 0.9260 0.9033
Rh21 Rh 0.8595 0.4433 0.3770
Rh22 Rh 0.9260 0.8439 0.4033
Rh23 Rh 0.9433 0.3595 0.1230
Rh24 Rh 0.9714 0.7213 0.1371
# - energy (eV/atom) = -7.33
# - relative energy among the computed polymorphs (meV per atom) = 0.0
# - formation energy (eV per atom) = -0.582

---

6.
# K4ThS4O18 PBE relaxed
data_K4ThS4O18
_cell_length_a 9.9350
_cell_length_b 9.9371
_cell_length_c 10.2642
_cell_angle_alpha 62.36
_cell_angle_beta 89.57
_cell_angle_gamma 84.94
_space_group_name_H-M_alt 'P 1'
_space_group_IT_number 1
loop_
_space_group_symop_operation_xyz
'x,y,z'
loop_
_atom_site_label
_atom_site_type_symbol
_atom_site_fract_x
_atom_site_fract_y
_atom_site_fract_z
K1 K 0.0000 0.0000 0.0000
K2 K 0.1348 0.5041 0.2647
K3 K 0.1485 0.7807 0.7474
K4 K 0.2929 0.0220 0.3182
K5 K 0.5000 0.5000 0.0000
K6 K 0.7071 0.9780 0.6818
K7 K 0.8515 0.2193 0.2526
K8 K 0.8652 0.4959 0.7353
Th1 Th 0.3404 0.2769 0.7584
Th2 Th 0.6596 0.7231 0.2416
S1 S 0.0607 0.1687 0.5751
S2 S 0.1881 0.3583 0.9875
S3 S 0.3240 0.8623 0.0304
S4 S 0.4915 0.6643 0.6149
S5 S 0.5085 0.3357 0.3851
S6 S 0.6760 0.1377 0.9696
S7 S 0.8119 0.6417 0.0125
S8 S 0.9393 0.8313 0.4249
O1 O 0.0111 0.9350 0.2955
O2 O 0.0299 0.7141 0.5430
O3 O 0.1048 0.2534 0.1014
O4 O 0.1375 0.3882 0.8353
O5 O 0.1480 0.2524 0.6350
O6 O 0.1539 0.0839 0.5206
O7 O 0.1951 0.5030 0.9930
O8 O 0.2158 0.7847 0.1266
O9 O 0.2353 0.4769 0.5284
O10 O 0.2754 0.0298 0.9437
O11 O 0.3309 0.2829 0.9986
O12 O 0.3657 0.7992 0.9306
O13 O 0.3767 0.7768 0.5900
O14 O 0.3897 0.3187 0.3130
O15 O 0.4288 0.0838 0.6854
O16 O 0.4461 0.8507 0.1251
O17 O 0.4506 0.5044 0.7045
O18 O 0.4706 0.3258 0.5353
O19 O 0.5294 0.6742 0.4647
O20 O 0.5494 0.4956 0.2955
O21 O 0.5539 0.1493 0.8749
O22 O 0.5712 0.9162 0.3146
O23 O 0.6103 0.6813 0.6870
O24 O 0.6233 0.2232 0.4100
O25 O 0.6343 0.2008 0.0694
O26 O 0.6691 0.7171 0.0014
O27 O 0.7246 0.9702 0.0563
O28 O 0.7647 0.5231 0.4716
O29 O 0.7842 0.2153 0.8734
O30 O 0.8049 0.4970 0.0070
O31 O 0.8461 0.9161 0.4794
O32 O 0.8520 0.7476 0.3650
O33 O 0.8625 0.6118 0.1647
O34 O 0.8952 0.7466 0.8986
O35 O 0.9701 0.2859 0.4570
O36 O 0.9889 0.0650 0.7045
# - energy (eV/atom) = -6.02
# - formation energy (eV per atom) = -2.126

---

7.
# Ca3Fe2N4 PBE relaxed
data_Ca3Fe2N4
_cell_length_a 6.3872
_cell_length_b 6.3872
_cell_length_c 6.3872
_cell_angle_alpha 135.30
_cell_angle_beta 73.67
_cell_angle_gamma 124.77
_space_group_name_H-M_alt 'P 1'
_space_group_IT_number 1
loop_
_space_group_symop_operation_xyz
'x,y,z'
loop_
_atom_site_label
_atom_site_type_symbol
_atom_site_fract_x
_atom_site_fract_y
_atom_site_fract_z
Ca1 Ca 0.0000 0.0000 0.0000
Ca2 Ca 0.5853 0.2767 0.3086
Ca3 Ca 0.9680 0.2767 0.6914
Fe1 Fe 0.1873 0.8016 0.3857
Fe2 Fe 0.4158 0.8016 0.6143
N1 N 0.0663 0.5663 0.5000
N2 N 0.0699 0.8498 0.2201
N3 N 0.5221 0.0221 0.5000
N4 N 0.6297 0.8498 0.7799
# - energy (eV/atom) = -6.84
# - maximum piezoelectric response (C/m²) = 0.9
# - formation energy (eV per atom) = -0.743

---

8.
# AlAu3 PBE relaxed
data_AlAu3
_cell_length_a 5.8226
_cell_length_b 5.8226
_cell_length_c 4.7540
_cell_angle_alpha 90.00
_cell_angle_beta 90.00
_cell_angle_gamma 120.00
_space_group_name_H-M_alt 'P 1'
_space_group_IT_number 1
loop_
_space_group_symop_operation_xyz
'x,y,z'
loop_
_atom_site_label
_atom_site_type_symbol
_atom_site_fract_x
_atom_site_fract_y
_atom_site_fract_z
Al1 Al 0.3333 0.6667 0.2500
Al2 Al 0.6667 0.3333 0.7500
Au1 Au 0.1705 0.3409 0.7500
Au2 Au 0.1705 0.8295 0.7500
Au3 Au 0.3409 0.1705 0.2500
Au4 Au 0.6591 0.8295 0.7500
Au5 Au 0.8295 0.1705 0.2500
Au6 Au 0.8295 0.6591 0.2500
# - energy (eV/atom) = -3.59
# - formation energy (eV per atom) = -0.198

---

9.
# Sr3CaI8 PBE relaxed
data_Sr3CaI8
_cell_length_a 7.9973
_cell_length_b 7.9973
_cell_length_c 9.7710
_cell_angle_alpha 113.93
_cell_angle_beta 113.93
_cell_angle_gamma 90.19
_space_group_name_H-M_alt 'P 1'
_space_group_IT_number 1
loop_
_space_group_symop_operation_xyz
'x,y,z'
loop_
_atom_site_label
_atom_site_type_symbol
_atom_site_fract_x
_atom_site_fract_y
_atom_site_fract_z
Sr1 Sr 0.0000 0.0000 0.0000
Sr2 Sr 0.2513 0.7484 0.5023
Sr3 Sr 0.7484 0.2513 0.5023
Ca1 Ca 0.5012 0.5012 0.9999
I1 I 0.1266 0.6207 0.7529
I2 I 0.1313 0.1313 0.7543
I3 I 0.3745 0.8663 0.2452
I4 I 0.3780 0.3780 0.2505
I5 I 0.6207 0.1266 0.7529
I6 I 0.6220 0.6220 0.7577
I7 I 0.8663 0.3745 0.2452
I8 I 0.8724 0.8724 0.2497
# - energy (eV/atom) = -3.22
# - maximum piezoelectric response (C/m²) = 0.1
# - formation energy (eV per atom) = -1.865

---

10.
# Mo3WS8 PBE relaxed
data_Mo3WS8
_cell_length_a 3.1915
_cell_length_b 3.1915
_cell_length_c 35.8271
_cell_angle_alpha 90.00
_cell_angle_beta 90.00
_cell_angle_gamma 120.00
_space_group_name_H-M_alt 'P 1'
_space_group_IT_number 1
loop_
_space_group_symop_operation_xyz
'x,y,z'
loop_
_atom_site_label
_atom_site_type_symbol
_atom_site_fract_x
_atom_site_fract_y
_atom_site_fract_z
Mo1 Mo 0.0000 0.0000 0.0000
Mo2 Mo 0.0000 0.0000 0.3757
Mo3 Mo 0.3333 0.6667 0.1879
W1 W 0.3333 0.6667 0.5637
S1 S 0.0000 0.0000 0.1442
S2 S 0.0000 0.0000 0.2316
S3 S 0.0000 0.0000 0.5198
S4 S 0.0000 0.0000 0.6076
S5 S 0.3333 0.6667 0.0437
S6 S 0.3333 0.6667 0.3321
S7 S 0.3333 0.6667 0.4194
S8 S 0.3333 0.6667 0.9563
# - energy (eV/atom) = -7.40
# - formation energy (eV per atom) = -1.188

---

11.
# TbFe6Sn4Ge2 PBE relaxed
data_TbFe6Sn4Ge2
_cell_length_a 5.3024
_cell_length_b 5.3024
_cell_length_c 8.7363
_cell_angle_alpha 90.00
_cell_angle_beta 90.00
_cell_angle_gamma 120.00
_space_group_name_H-M_alt 'P 1'
_space_group_IT_number 1
loop_
_space_group_symop_operation_xyz
'x,y,z'
loop_
_atom_site_label
_atom_site_type_symbol
_atom_site_fract_x
_atom_site_fract_y
_atom_site_fract_z
Tb1 Tb 0.0000 0.0000 0.0000
Fe1 Fe 0.0000 0.5000 0.2316
Fe2 Fe 0.0000 0.5000 0.7684
Fe3 Fe 0.5000 0.0000 0.2316
Fe4 Fe 0.5000 0.0000 0.7684
Fe5 Fe 0.5000 0.5000 0.2316
Fe6 Fe 0.5000 0.5000 0.7684
Sn1 Sn 0.0000 0.0000 0.3370
Sn2 Sn 0.0000 0.0000 0.6630
Sn3 Sn 0.3333 0.6667 0.5000
Sn4 Sn 0.6667 0.3333 0.5000
Ge1 Ge 0.3333 0.6667 0.0000
Ge2 Ge 0.6667 0.3333 0.0000
# - energy (eV/atom) = -6.40
# - formation energy (eV per atom) = -0.187